Below is a geometry-optimized Tb6Br7 structure, with properties calculated at the GGA-PBE level.

Cell and atoms, written as CIF:
```
data_Tb6Br7
_space_group_name_H-M_alt 'C 1 2/m 1'
_space_group_IT_number 12
_space_group_name_Hall '-C 2y'
_cell_length_a 21.3125
_cell_length_b 3.8091
_cell_length_c 11.7479
_cell_angle_alpha 90.00
_cell_angle_beta 122.90
_cell_angle_gamma 90.00
loop_
_atom_site_label
_atom_site_fract_x
_atom_site_fract_y
_atom_site_fract_z
Tb1 0.1278 0.0000 0.0578
Tb2 0.1821 0.5000 0.8630
Tb3 0.2281 0.0000 0.6585
Br1 0.0000 0.5000 0.0000
Br2 0.0534 0.0000 0.7732
Br3 0.1081 0.5000 0.5610
Br4 0.1667 0.0000 0.3449
```

Properties
As for the energy with MP2020 corrections: -59.72 eV/f.u. As for the final energy: -4.307 eV per atom.